[1]
VASP calculation (PBE) on a relaxed Ni3C crystal.

Its formation energy is 0.0589 eV per atom. Its total energy is -6.583 eV per atom. Its volume is 9.8 Å³ per atom.

The structure belongs to space group R-3c (No. 167, hexagonal axes); the cell edges are 4.5813, 4.5813 and 12.9094 Å and the angles 90.00°, 90.00° and 120.00°. Symmetry generates all atoms from Ni at (0.0000, 0.3269, 0.2500) and C at (0.0000, 0.0000, 0.0000).



[2]
VASP calculation (PBE) on a relaxed NiC crystal.

Its formation energy is 1.0905 eV per atom. Its total energy is -6.414 eV per atom. Its volume is 8.4 Å³ per atom.

The structure belongs to space group Fm-3m (No. 225); the cell edges are 4.067, 4.067 and 4.067 Å and the angles 90.00°, 90.00° and 90.00°. Symmetry generates all atoms from Ni at (0.000, 0.000, 0.000) and C at (0.000, 0.000, 0.500).



Question: formation energy of number 1 (Ni3C)?
Answer: 0.0589 eV per atom



Question: formation energy of number 1 (Ni3C)?
Answer: 0.0589 eV per atom



Copy entry 2 word for word.
VASP calculation (PBE) on a relaxed NiC crystal.

Its formation energy is 1.0905 eV per atom. Its total energy is -6.414 eV per atom. Its volume is 8.4 Å³ per atom.

The structure belongs to space group Fm-3m (No. 225); the cell edges are 4.067, 4.067 and 4.067 Å and the angles 90.00°, 90.00° and 90.00°. Symmetry generates all atoms from Ni at (0.000, 0.000, 0.000) and C at (0.000, 0.000, 0.500).